# 1
A plane-wave DFT calculation with PBE was carried out for a geometry-optimized TaS3 structure.

E_form (eV per atom): -0.3423
VASP energy (eV/cell): -96.51

Cell: 5.3424 7.4746 6.5857 Å, 90.00 90.00 90.00°
Sites, in units of the cell vectors:
1 Ta 0.0000 0.0000 0.0000
2 Ta 0.0000 0.5000 0.5000
3 Ta 0.5000 0.0000 0.5000
4 Ta 0.5000 0.5000 0.0000
5 S 0.0000 0.0000 0.6212
6 S 0.0000 0.5000 0.1212
7 S 0.1753 0.1984 0.3225
8 S 0.1753 0.6984 0.8225
9 S 0.3247 0.1984 0.8225
10 S 0.3247 0.6984 0.3225
11 S 0.5000 0.0000 0.1212
12 S 0.5000 0.5000 0.6212
13 S 0.6753 0.3016 0.3225
14 S 0.6753 0.8016 0.8225
15 S 0.8247 0.3016 0.8225
16 S 0.8247 0.8016 0.3225


# 2
A plane-wave DFT calculation with PBE was carried out for a geometry-optimized TaS2 structure.

E_form (eV per atom): -1.3614
VASP energy (eV/cell): -23.21

Cell: 3.3783 3.3783 6.9529 Å, 90.00 90.00 120.00°
Sites, in units of the cell vectors:
1 Ta 0.0000 0.0000 0.0000
2 S 0.3333 0.6667 0.7793
3 S 0.6667 0.3333 0.2207


Q: Look up the VASP energy of the first one.
A: -96.51 eV/cell


Q: Which value of E_form does entry 2 give?
A: -1.3614 eV per atom


Q: VASP energy of number 1 (TaS3)?
A: -96.51 eV/cell


Copy entry 1 word for word.
A plane-wave DFT calculation with PBE was carried out for a geometry-optimized TaS3 structure.

E_form (eV per atom): -0.3423
VASP energy (eV/cell): -96.51

Cell: 5.3424 7.4746 6.5857 Å, 90.00 90.00 90.00°
Sites, in units of the cell vectors:
1 Ta 0.0000 0.0000 0.0000
2 Ta 0.0000 0.5000 0.5000
3 Ta 0.5000 0.0000 0.5000
4 Ta 0.5000 0.5000 0.0000
5 S 0.0000 0.0000 0.6212
6 S 0.0000 0.5000 0.1212
7 S 0.1753 0.1984 0.3225
8 S 0.1753 0.6984 0.8225
9 S 0.3247 0.1984 0.8225
10 S 0.3247 0.6984 0.3225
11 S 0.5000 0.0000 0.1212
12 S 0.5000 0.5000 0.6212
13 S 0.6753 0.3016 0.3225
14 S 0.6753 0.8016 0.8225
15 S 0.8247 0.3016 0.8225
16 S 0.8247 0.8016 0.3225